Computed, not measured: a relaxed structure of Ba3TaAs3O at the PBE level of DFT.

```
Ba3TaAs3O
1.0
6.818 0.000 0.000
0.000 11.249 0.000
0.000 0.000 13.683
Ba Ta As O
12 4 12 4
direct
0.227 0.250 0.129 Ba
0.243 0.545 0.369 Ba
0.243 0.955 0.369 Ba
0.257 0.045 0.869 Ba
0.257 0.455 0.869 Ba
0.273 0.750 0.629 Ba
0.727 0.250 0.371 Ba
0.743 0.545 0.131 Ba
0.743 0.955 0.131 Ba
0.757 0.045 0.631 Ba
0.757 0.455 0.631 Ba
0.773 0.750 0.871 Ba
0.162 0.250 0.545 Ta
0.338 0.750 0.045 Ta
0.662 0.250 0.955 Ta
0.838 0.750 0.455 Ta
0.228 0.250 0.367 As
0.236 0.556 0.118 As
0.236 0.944 0.118 As
0.264 0.056 0.618 As
0.264 0.444 0.618 As
0.272 0.750 0.867 As
0.728 0.250 0.133 As
0.736 0.556 0.382 As
0.736 0.944 0.382 As
0.764 0.056 0.882 As
0.764 0.444 0.882 As
0.772 0.750 0.633 As
0.114 0.750 0.447 O
0.386 0.250 0.947 O
0.614 0.750 0.053 O
0.886 0.250 0.553 O
```

Summary:
Crystal system: orthorhombic
Space group: Pnma, No. 62
Energy of formation from the pure elements (eV/f.u.): -12.349
E_tot (eV/cell): -192.8